No. 1
DFT (meta-GGA r2SCAN) results for a geometry-optimized K2Hg7 structure.

Cell lengths 6.960, 6.960, 6.351 Å; angles 90.00, 90.00, 120.00 degrees
Element x y z (fractional)
1 K 0.333 0.667 0.840
2 K 0.667 0.333 0.160
3 Hg 0.182 0.364 0.332
4 Hg 0.636 0.818 0.332
5 Hg 0.182 0.818 0.332
6 Hg 0.818 0.636 0.668
7 Hg 0.818 0.182 0.668
8 Hg 0.364 0.182 0.668
9 Hg 0.000 0.000 0.000

Theoretical density   9.24 g/cm³
E_form   -5.5 kcal/mol of atoms

---

No. 2
DFT (meta-GGA r2SCAN) results for a geometry-optimized K4HgP2 structure.

Cell lengths 9.601, 9.601, 9.601 Å; angles 34.35, 34.35, 34.35 degrees
Element x y z (fractional)
1 K 0.208 0.208 0.208
2 K 0.792 0.792 0.792
3 K 0.390 0.390 0.390
4 K 0.610 0.610 0.610
5 Hg 0.000 0.000 0.000
6 P 0.088 0.088 0.088
7 P 0.912 0.912 0.912

Theoretical density   2.77 g/cm³
E_form   -11.0 kcal/mol of atoms

---

No. 3
DFT (meta-GGA r2SCAN) results for a geometry-optimized K2Hg6S7 structure.

Cell lengths 4.112, 13.960, 13.961 Å; angles 90.00, 90.00, 90.00 degrees
Element x y z (fractional)
1 K 0.235 0.171 0.671
2 K 0.235 0.829 0.329
3 K 0.765 0.671 0.829
4 K 0.765 0.329 0.171
5 Hg 0.277 0.598 0.098
6 Hg 0.277 0.402 0.902
7 Hg 0.723 0.098 0.402
8 Hg 0.723 0.902 0.598
9 Hg 0.238 0.068 0.159
10 Hg 0.238 0.932 0.841
11 Hg 0.762 0.159 0.932
12 Hg 0.762 0.432 0.659
13 Hg 0.762 0.841 0.068
14 Hg 0.762 0.568 0.341
15 Hg 0.238 0.341 0.432
16 Hg 0.238 0.659 0.568
17 S 0.253 0.197 0.036
18 S 0.253 0.803 0.964
19 S 0.747 0.036 0.803
20 S 0.747 0.303 0.536
21 S 0.747 0.964 0.197
22 S 0.747 0.697 0.464
23 S 0.253 0.464 0.303
24 S 0.253 0.536 0.697
25 S 0.667 0.686 0.186
26 S 0.667 0.314 0.814
27 S 0.333 0.186 0.314
28 S 0.333 0.814 0.686
29 S 0.064 0.000 0.500
30 S 0.936 0.500 0.000

Theoretical density   6.24 g/cm³
E_form   -11.0 kcal/mol of atoms

---

No. 4
DFT (meta-GGA r2SCAN) results for a geometry-optimized K2Hg3S4 structure.

Cell lengths 6.633, 10.662, 13.745 Å; angles 90.00, 90.00, 90.00 degrees
Element x y z (fractional)
1 K 0.736 0.880 0.501
2 K 0.264 0.120 0.499
3 K 0.764 0.620 0.001
4 K 0.736 0.120 0.999
5 K 0.236 0.380 0.999
6 K 0.264 0.880 0.001
7 K 0.764 0.380 0.499
8 K 0.236 0.620 0.501
9 Hg 0.587 0.500 0.750
10 Hg 0.413 0.500 0.250
11 Hg 0.913 0.000 0.250
12 Hg 0.087 0.000 0.750
13 Hg 0.589 0.845 0.758
14 Hg 0.411 0.155 0.242
15 Hg 0.911 0.655 0.258
16 Hg 0.589 0.155 0.742
17 Hg 0.089 0.345 0.742
18 Hg 0.411 0.845 0.258
19 Hg 0.911 0.345 0.242
20 Hg 0.089 0.655 0.758
21 S 0.829 0.633 0.640
22 S 0.171 0.367 0.360
23 S 0.671 0.867 0.140
24 S 0.829 0.367 0.860
25 S 0.329 0.133 0.860
26 S 0.171 0.633 0.140
27 S 0.671 0.133 0.360
28 S 0.329 0.867 0.640
29 S 0.863 0.871 0.869
30 S 0.137 0.129 0.131
31 S 0.637 0.629 0.369
32 S 0.863 0.129 0.631
33 S 0.363 0.371 0.631
34 S 0.137 0.871 0.369
35 S 0.637 0.371 0.131
36 S 0.363 0.629 0.869

Theoretical density   5.52 g/cm³
E_form   -15.3 kcal/mol of atoms